Below is a geometry-optimized LiC12 structure, with properties calculated at the GGA-PBE level.

Calculated formation energy in meV/atom: -5
Symmetry: P6/mmm
Electronic total energy in eV per atom: -8.6702

Cell: 4.298 4.298 7.765 Å, 90.00 90.00 120.00°
Positions (direct):
Li: 0.000 0.000 0.000
C: 0.000 0.333 0.244
C: 0.000 0.333 0.756
C: 0.000 0.667 0.244
C: 0.000 0.667 0.756
C: 0.333 0.000 0.244
C: 0.333 0.000 0.756
C: 0.333 0.333 0.244
C: 0.333 0.333 0.756
C: 0.667 0.000 0.244
C: 0.667 0.000 0.756
C: 0.667 0.667 0.244
C: 0.667 0.667 0.756


Below is a geometry-optimized LiTi2O4 structure, with properties calculated at the GGA-PBE level.

Corrected total energy (MP2020 scheme) in eV per atom: -8.56
Calculated formation energy in meV/atom: -3202
Symmetry: P2/m
Electronic total energy in eV per atom: -8.1655

Cell: 8.204 3.913 8.905 Å, 90.00 90.10 90.00°
Positions (direct):
Li: 0.126 0.000 0.133
Li: 0.127 0.500 0.367
Li: 0.873 0.500 0.633
Li: 0.874 0.000 0.867
Ti: 0.145 0.000 0.623
Ti: 0.147 0.500 0.886
Ti: 0.388 0.000 0.383
Ti: 0.388 0.500 0.111
Ti: 0.612 0.000 0.617
Ti: 0.612 0.500 0.889
Ti: 0.853 0.500 0.114
Ti: 0.855 0.000 0.377
O: 0.117 0.000 0.856
O: 0.117 0.500 0.651
O: 0.124 0.500 0.100
O: 0.125 0.000 0.403
O: 0.369 0.000 0.147
O: 0.369 0.500 0.346
O: 0.375 0.000 0.602
O: 0.375 0.500 0.890
O: 0.625 0.000 0.398
O: 0.625 0.500 0.110
O: 0.631 0.000 0.853
O: 0.631 0.500 0.654
O: 0.875 0.000 0.597
O: 0.876 0.500 0.900
O: 0.883 0.000 0.144
O: 0.883 0.500 0.349


Below is a geometry-optimized K2InAgBr6 structure, with properties calculated at the GGA-PBE level.

Corrected total energy (MP2020 scheme) in eV per atom: -3.17
Calculated formation energy in meV/atom: -1403
Symmetry: Fm-3m
Electronic total energy in eV per atom: -2.8449

Cell: 7.841 7.841 7.841 Å, 60.00 60.00 60.00°
Positions (direct):
K: 0.250 0.250 0.250
K: 0.750 0.750 0.750
In: 0.000 0.000 0.000
Ag: 0.500 0.500 0.500
Br: 0.245 0.245 0.755
Br: 0.245 0.755 0.245
Br: 0.245 0.755 0.755
Br: 0.755 0.245 0.245
Br: 0.755 0.245 0.755
Br: 0.755 0.755 0.245


Below is a geometry-optimized Nb2Zn2SbO8 structure, with properties calculated at the GGA-PBE level.

Corrected total energy (MP2020 scheme) in eV per atom: -7.40
Calculated formation energy in meV/atom: -2293
Symmetry: P-1
Electronic total energy in eV per atom: -6.9802

Cell: 5.462 5.904 10.744 Å, 105.83 92.99 90.11°
Positions (direct):
Nb: 0.226 0.465 0.244
Nb: 0.273 0.220 0.755
Nb: 0.727 0.780 0.245
Nb: 0.774 0.535 0.756
Zn: 0.225 0.060 0.439
Zn: 0.274 0.621 0.559
Zn: 0.726 0.379 0.441
Zn: 0.775 0.940 0.561
Sb: 0.242 0.830 0.999
Sb: 0.758 0.170 0.001
O: 0.029 0.669 0.154
O: 0.079 0.432 0.646
O: 0.108 0.163 0.116
O: 0.145 0.944 0.603
O: 0.356 0.341 0.398
O: 0.387 0.046 0.881
O: 0.421 0.786 0.355
O: 0.471 0.515 0.848
O: 0.529 0.485 0.152
O: 0.579 0.214 0.645
O: 0.613 0.954 0.119
O: 0.644 0.659 0.602
O: 0.855 0.056 0.397
O: 0.892 0.837 0.884
O: 0.921 0.568 0.354
O: 0.971 0.331 0.846


Below is a geometry-optimized LiCu6OF11 structure, with properties calculated at the GGA-PBE level.

Corrected total energy (MP2020 scheme) in eV per atom: -4.55
Calculated formation energy in meV/atom: -1788
Symmetry: P1
Electronic total energy in eV per atom: -4.2486

Cell: 4.819 5.475 8.451 Å, 85.55 86.57 88.77°
Positions (direct):
Li: 0.000 0.000 0.000
Cu: 0.003 0.087 0.406
Cu: 0.475 0.237 0.748
Cu: 0.475 0.943 0.123
Cu: 0.485 0.584 0.430
Cu: 0.982 0.727 0.739
Cu: 0.990 0.430 0.108
O: 0.162 0.133 0.184
F: 0.172 0.443 0.846
F: 0.196 0.790 0.509
F: 0.257 0.949 0.834
F: 0.270 0.649 0.177
F: 0.276 0.297 0.506
F: 0.680 0.531 0.677
F: 0.689 0.214 0.017
F: 0.694 0.869 0.349
F: 0.767 0.383 0.342
F: 0.778 0.726 0.026
F: 0.787 0.035 0.658


Below is a geometry-optimized BaSrCeSnO6 structure, with properties calculated at the GGA-PBE level.

Corrected total energy (MP2020 scheme) in eV per atom: -7.41
Calculated formation energy in meV/atom: -3085
Symmetry: F-43m
Electronic total energy in eV per atom: -6.9966

Cell: 6.083 6.083 6.083 Å, 60.00 60.00 60.00°
Positions (direct):
Ba: 0.000 0.000 0.000
Sr: 0.500 0.500 0.500
Ce: 0.750 0.750 0.750
Sn: 0.250 0.250 0.250
O: 0.008 0.008 0.492
O: 0.008 0.492 0.008
O: 0.008 0.492 0.492
O: 0.492 0.008 0.008
O: 0.492 0.008 0.492
O: 0.492 0.492 0.008